Model a:
# Li4Nb3Cr2Fe3O16

A relaxed structure of Li4Nb3Cr2Fe3O16 (GGA+U, Materials Project).

- Total moment: 19.7 Bohr magnetons per cell
- V: 312 Å³/cell

Structure (POSCAR):
```
Li4Nb3Cr2Fe3O16
1.0
5.2598 -3.0349 0.0000
5.2598 3.0349 0.0000
-0.2715 0.0000 9.7581
Li Nb Cr Fe O
4 3 2 3 16
Direct
0.0000 0.0000 0.0000
0.0070 0.0070 0.5133
0.3256 0.3256 0.6159
0.6566 0.6566 0.0980
0.1520 0.6513 0.2885
0.6513 0.1520 0.2885
0.8174 0.8174 0.7900
0.3179 0.3179 0.0100
0.6472 0.6472 0.5235
0.1603 0.1603 0.2833
0.3271 0.8240 0.7867
0.8240 0.3271 0.7867
0.0306 0.4718 0.1549
0.1433 0.6514 0.9022
0.1559 0.1559 0.8994
0.3159 0.8130 0.4019
0.3306 0.3306 0.4045
0.4682 0.4682 0.1622
0.4718 0.0306 0.1549
0.5125 0.5125 0.6588
0.5162 0.9460 0.6513
0.6514 0.1433 0.9022
0.6584 0.6584 0.8995
0.8130 0.3159 0.4019
0.8212 0.8212 0.3977
0.9460 0.5162 0.6513
0.9825 0.9825 0.1848
0.9856 0.9856 0.6943
```

***

Model b:
# Li4Nb3Cr2Fe3O16

A relaxed structure of Li4Nb3Cr2Fe3O16 (GGA+U, Materials Project).

- Total moment: 19.0 Bohr magnetons per cell
- V: 317 Å³/cell

Structure (POSCAR):
```
Li4Nb3Cr2Fe3O16
1.0
6.1182 0.0000 0.0000
3.0556 5.3037 0.0000
0.2752 -0.0792 9.7691
Li Nb Cr Fe O
4 3 2 3 16
Direct
0.0000 0.0000 0.0000
0.0126 0.9908 0.4842
0.3589 0.3184 0.1032
0.6968 0.6510 0.5816
0.2085 0.6450 0.7733
0.2119 0.1466 0.7741
0.3778 0.8165 0.2748
0.3785 0.3164 0.4915
0.7202 0.6378 0.0107
0.6969 0.1498 0.7700
0.8599 0.8164 0.2729
0.8646 0.3216 0.2726
0.0475 0.9880 0.1792
0.0567 0.9718 0.6701
0.0735 0.4647 0.6521
0.2112 0.1440 0.3863
0.2209 0.6466 0.3881
0.3441 0.3287 0.8871
0.3662 0.8159 0.8798
0.5000 0.0270 0.6405
0.5029 0.4706 0.6435
0.5410 0.9399 0.1337
0.5527 0.5066 0.1419
0.6862 0.6428 0.3866
0.7036 0.1557 0.3872
0.8891 0.8049 0.8863
0.8909 0.3057 0.8857
0.9904 0.4981 0.1438
```

***

Quick one: least stable of them? model a

***

Model a:
# MgFe8O14F2

A relaxed structure of MgFe8O14F2 (GGA+U, Materials Project).

- Total moment: 36.0 Bohr magnetons per cell
- V: 292 Å³/cell

Structure (POSCAR):
```
MgFe8O14F2
1.0
5.7597 0.0000 0.0000
2.3489 6.9017 0.0000
2.4400 0.1022 7.3468
Mg Fe O F
1 8 14 2
Direct
0.0000 0.0000 0.0000
0.1257 0.3653 0.6121
0.1808 0.8626 0.5821
0.4037 0.1451 0.8522
0.4565 0.6075 0.8165
0.5166 0.3980 0.1601
0.5691 0.8651 0.1405
0.8059 0.1363 0.4108
0.8670 0.6487 0.3735
0.0564 0.2578 0.8594
0.0633 0.1338 0.5320
0.2007 0.4657 0.3531
0.2219 0.6049 0.6841
0.2755 0.0443 0.0903
0.3146 0.8819 0.7780
0.4707 0.3618 0.9289
0.4915 0.2118 0.6008
0.5130 0.7894 0.3928
0.5326 0.6472 0.0326
0.6792 0.1219 0.2025
0.7809 0.5448 0.6174
0.9310 0.7396 0.1315
0.9576 0.8597 0.4512
0.7576 0.9633 0.8673
0.7727 0.4063 0.2929
```

***

Model b:
# MgFe8O14F2

A relaxed structure of MgFe8O14F2 (GGA+U, Materials Project).

- Total moment: 36.0 Bohr magnetons per cell
- V: 311 Å³/cell

Structure (POSCAR):
```
MgFe8O14F2
1.0
5.1905 0.0000 0.0000
1.0840 5.0942 0.0000
0.0973 0.0755 11.7695
Mg Fe O F
1 8 14 2
Direct
0.0000 0.0000 0.0000
0.3060 0.2959 0.2526
0.3130 0.3090 0.5005
0.3313 0.3259 0.0003
0.3432 0.2779 0.7482
0.7128 0.7165 0.8745
0.7166 0.7203 0.6175
0.7191 0.7063 0.1321
0.7345 0.7260 0.3750
0.1645 0.1653 0.1146
0.1730 0.1596 0.6230
0.1752 0.1623 0.8849
0.4705 0.4649 0.3786
0.4838 0.4731 0.1225
0.4901 0.4687 0.6250
0.4960 0.4682 0.8754
0.5806 0.9494 0.2552
0.5880 0.9583 0.4927
0.6109 0.9473 0.7477
0.6237 0.9790 0.0027
0.9597 0.5717 0.2560
0.9628 0.5784 0.4961
0.9900 0.6214 0.9989
0.1391 0.1320 0.3780
0.9861 0.5801 0.7496
```

***

Quick one: least stable of them? model b

***

Model a:
# MgFe4P4O16

A relaxed structure of MgFe4P4O16 (GGA+U, Materials Project).

- Total moment: 18.0 Bohr magnetons per cell
- V: 413 Å³/cell

Structure (POSCAR):
```
MgFe4P4O16
1.0
5.2825 0.0000 0.0000
2.4780 8.2389 0.0000
0.0508 0.4357 9.4919
Mg Fe P O
1 4 4 16
Direct
0.0000 0.0000 0.0000
0.1071 0.7937 0.3713
0.2175 0.1950 0.4342
0.5972 0.3341 0.9146
0.6663 0.6970 0.8743
0.0567 0.2879 0.7662
0.2314 0.6944 0.0538
0.5234 0.7940 0.5330
0.7795 0.1627 0.2414
0.0675 0.2989 0.6084
0.2081 0.6510 0.2097
0.2942 0.9449 0.4721
0.3307 0.2615 0.8352
0.3638 0.8338 0.0229
0.4102 0.6558 0.4872
0.4120 0.5483 0.9749
0.5298 0.1697 0.3196
0.5506 0.8030 0.6924
0.7155 0.1961 0.0762
0.7905 0.7869 0.4622
0.8500 0.4436 0.8254
0.9294 0.2776 0.2884
0.9347 0.1525 0.8274
0.9540 0.7650 0.9806
0.9659 0.9829 0.2304
```

***

Model b:
# MgFe4P4O16

A relaxed structure of MgFe4P4O16 (GGA+U, Materials Project).

- Total moment: 18.0 Bohr magnetons per cell
- V: 379 Å³/cell

Structure (POSCAR):
```
MgFe4P4O16
1.0
5.2791 0.0000 0.0000
2.5408 8.1097 0.0000
0.8205 0.6383 8.8531
Mg Fe P O
1 4 4 16
Direct
0.0000 0.0000 0.0000
0.1430 0.4979 0.2740
0.5032 0.5989 0.7558
0.7161 0.0899 0.7290
0.9540 0.1011 0.3282
0.2606 0.0037 0.6454
0.4770 0.1426 0.1100
0.6883 0.4951 0.4349
0.9511 0.6565 0.9320
0.0372 0.6344 0.0953
0.0403 0.0156 0.5369
0.1025 0.0799 0.7913
0.1829 0.5568 0.8262
0.2495 0.0571 0.1309
0.3794 0.3067 0.1844
0.4121 0.5510 0.3723
0.4214 0.8207 0.6795
0.4540 0.1011 0.5820
0.5836 0.1629 0.9444
0.6602 0.4431 0.6073
0.7125 0.5880 0.9206
0.7332 0.0322 0.1894
0.8381 0.6267 0.4054
0.8811 0.8431 0.8868
0.8880 0.3475 0.3505
```

***

Quick one: least stable of them? model a

***

Model a:
# Li3NiOF3

A relaxed structure of Li3NiOF3 (GGA+U, Materials Project).

- Total moment: 4.0 Bohr magnetons per cell
- V: 143 Å³/cell

Structure (POSCAR):
```
Li3NiOF3
1.0
4.8502 -1.4786 0.0000
4.8502 1.4786 0.0000
-1.8098 0.0000 9.9523
Li Ni O F
6 2 2 6
Direct
0.0000 0.0000 0.0000
0.0000 0.0000 0.5000
0.2505 0.2505 0.8812
0.4961 0.4961 0.7444
0.5039 0.5039 0.2556
0.7495 0.7495 0.1188
0.2450 0.2450 0.3832
0.7550 0.7550 0.6168
0.3742 0.3742 0.5654
0.6258 0.6258 0.4346
0.1263 0.1263 0.1815
0.1315 0.1315 0.6994
0.3755 0.3755 0.0606
0.6245 0.6245 0.9394
0.8685 0.8685 0.3006
0.8737 0.8737 0.8185
```

***

Model b:
# Li3NiOF3

A relaxed structure of Li3NiOF3 (GGA+U, Materials Project).

- Total moment: 0.0 Bohr magnetons per cell
- V: 282 Å³/cell

Structure (POSCAR):
```
Li3NiOF3
1.0
-0.4757 -1.4068 -2.5019
-16.3385 -1.5536 3.9799
-0.1367 5.0818 -2.8315
Li Ni F O
12 4 12 4
Direct
0.5001 0.8743 0.6871
0.5001 0.1257 0.8128
0.0001 0.2500 0.6250
0.5001 0.8743 0.1871
0.5001 0.1257 0.3128
0.0001 0.7500 0.8750
0.5001 0.3743 0.4371
0.5001 0.6257 0.0628
0.5001 0.6257 0.5628
0.0001 0.7500 0.3750
0.0001 0.2500 0.1250
0.5001 0.3743 0.9371
0.9998 0.0000 0.5001
0.9998 0.5000 0.2501
0.9998 0.0000 0.0001
0.9998 0.5000 0.7501
0.5000 0.7500 0.1250
0.0001 0.3701 0.6850
0.0001 0.8701 0.4350
0.0001 0.1299 0.5649
0.0001 0.6299 0.3149
0.0001 0.8701 0.9350
0.5000 0.2500 0.8750
0.5000 0.2500 0.3750
0.0001 0.3701 0.1850
0.0001 0.6299 0.8149
0.5000 0.7500 0.6250
0.0001 0.1299 0.0649
0.4999 0.0000 0.2501
0.4999 0.5000 0.0001
0.4999 0.5000 0.5001
0.4999 0.0000 0.7501
```

***

Quick one: least stable of them? model a